Record 1
The following is a DFT calculation (GGA-PBE) of a relaxed Na3Zn crystal.

Cell: 4.8617 4.8617 4.8617 Å, 90.00 90.00 90.00°
With the nearest neighbours (Å) after each atom.
Fractional positions:
Na (0.5000, 0.5000, 0.0000)  8 Na 3.44, 4 Zn 3.44
Na (0.5000, 0.0000, 0.5000)  8 Na 3.44, 4 Zn 3.44
Na (0.0000, 0.5000, 0.5000)  8 Na 3.44, 4 Zn 3.44
Zn (0.0000, 0.0000, 0.0000)  12 Na 3.44

SG = No. 221
energy of formation from the pure elements = 77 meV/atom

---

Record 2
The following is a DFT calculation (GGA-PBE) of a relaxed Na3Zn crystal.

Cell: 6.0641 6.0641 6.0641 Å, 133.18 133.18 68.38°
With the nearest neighbours (Å) after each atom.
Fractional positions:
Na (0.7500, 0.2500, 0.5000)  8 Na 3.41-3.48, 4 Zn 3.48
Na (0.2500, 0.7500, 0.5000)  8 Na 3.41-3.48, 4 Zn 3.48
Na (0.5000, 0.5000, 0.0000)  4 Zn 3.41, 8 Na 3.48
Zn (0.0000, 0.0000, 0.0000)  12 Na 3.41-3.48

SG = No. 139
energy of formation from the pure elements = 76 meV/atom

---

Record 3
The following is a DFT calculation (GGA-PBE) of a relaxed Nb crystal.

Cell: 2.8813 2.8813 5.2678 Å, 90.00 90.00 120.00°
With the nearest neighbours (Å) after each atom.
Fractional positions:
Nb (0.0000, 0.0000, 0.0000)  12 Nb 2.88-3.12
Nb (0.6667, 0.3333, 0.5000)  12 Nb 2.88-3.12

SG = No. 194
energy above the lowest structure with this stoichiometry = 303 meV per atom
energy of formation from the pure elements = 303 meV/atom

---

Record 4
The following is a DFT calculation (GGA-PBE) of a relaxed Nb crystal.

Cell: 2.9918 2.9918 2.9918 Å, 60.00 60.00 60.00°
With the nearest neighbours (Å) after each atom.
Fractional positions:
Nb (0.0000, 0.0000, 0.0000)  12 Nb 2.99

SG = No. 225
energy above the lowest structure with this stoichiometry = 320 meV per atom
energy of formation from the pure elements = 320 meV/atom

---

Record 5
The following is a DFT calculation (GGA-PBE) of a relaxed Nb crystal.

Cell: 5.3743 6.9380 7.1799 Å, 107.50 108.62 102.62°
With the nearest neighbours (Å) after each atom.
Fractional positions:
Nb (0.0695, 0.1404, 0.5033)  5 Nb 2.66-2.97
Nb (0.5097, 0.2126, 0.3406)  3 Nb 2.66-2.97
Nb (0.0727, 0.7314, 0.1338)  4 Nb 2.68-2.95
Nb (0.0461, 0.4058, 0.2623)  4 Nb 2.68-2.97
Nb (0.0242, 0.9839, 0.8823)  5 Nb 2.64-2.92
Nb (0.5964, 0.9260, 0.0500)  4 Nb 2.66-2.94
Nb (0.6839, 0.7204, 0.3937)  4 Nb 2.71-2.95
Nb (0.0547, 0.5642, 0.6978)  8 Nb 2.68-2.97
Nb (0.5533, 0.5638, 0.6991)  9 Nb 2.68-3.00
Nb (0.4281, 0.3950, 0.9983)  4 Nb 2.71-2.92
Nb (0.7713, 0.2512, 0.7894)  5 Nb 2.64-2.88
Nb (0.3365, 0.8801, 0.6041)  7 Nb 2.66-2.95

SG = No. 1
energy above the lowest structure with this stoichiometry = 190 meV per atom
energy of formation from the pure elements = 190 meV/atom

---

Record 6
The following is a DFT calculation (GGA-PBE) of a relaxed Nb crystal.

Cell: 2.7811 4.6720 9.9531 Å, 78.86 85.62 88.03°
With the nearest neighbours (Å) after each atom.
Fractional positions:
Nb (0.6475, 0.2178, 0.5712)  8 Nb 2.78-2.95
Nb (0.3525, 0.7822, 0.4288)  8 Nb 2.78-2.95
Nb (0.9392, 0.6504, 0.7136)  8 Nb 2.78-2.98
Nb (0.0608, 0.3496, 0.2864)  8 Nb 2.78-2.98
Nb (0.2232, 0.0776, 0.8567)  8 Nb 2.78-2.99
Nb (0.7768, 0.9224, 0.1433)  8 Nb 2.78-2.99
Nb (0.5000, 0.5000, 0.0000)  8 Nb 2.78-2.98

SG = No. 2
energy above the lowest structure with this stoichiometry = 23 meV per atom
energy of formation from the pure elements = 23 meV/atom

---

Record 7
The following is a DFT calculation (GGA-PBE) of a relaxed Nb crystal.

Cell: 2.8757 2.8757 2.8757 Å, 109.47 109.47 109.47°
With the nearest neighbours (Å) after each atom.
Fractional positions:
Nb (0.0000, 0.0000, 0.0000)  8 Nb 2.88

SG = No. 229
energy above the lowest structure with this stoichiometry = 0 meV per atom
energy of formation from the pure elements = 0 meV/atom

---

Record 8
The following is a DFT calculation (GGA-PBE) of a relaxed NdNb3O9 crystal.

Cell: 5.5908 9.7322 13.7388 Å, 90.22 90.53 90.32°
With the nearest neighbours (Å) after each atom.
Fractional positions:
Nd (0.7468, 0.5831, 0.5808)  8 O 2.45-2.67
Nd (0.7391, 0.9230, 0.9227)  8 O 2.40-2.68
Nd (0.2609, 0.0770, 0.0773)  8 O 2.40-2.68
Nd (0.2532, 0.4169, 0.4192)  8 O 2.45-2.67
Nb (0.2524, 0.7624, 0.4986)  6 O 1.92-2.14
Nb (0.2521, 0.0877, 0.8241)  5 O 1.89-2.10
Nb (0.2484, 0.4102, 0.1660)  6 O 1.96-2.04
Nb (0.7561, 0.9216, 0.6655)  6 O 1.93-2.10
Nb (0.7499, 0.2650, 0.9957)  5 O 1.88-2.07
Nb (0.7476, 0.5807, 0.3248)  5 O 1.89-2.10
Nb (0.2439, 0.0784, 0.3345)  6 O 1.93-2.10
Nb (0.2524, 0.4193, 0.6752)  5 O 1.89-2.10
Nb (0.2501, 0.7350, 0.0043)  5 O 1.88-2.07
Nb (0.7476, 0.2376, 0.5014)  6 O 1.92-2.14
Nb (0.7516, 0.5898, 0.8340)  6 O 1.96-2.04
Nb (0.7479, 0.9123, 0.1759)  5 O 1.89-2.10
O (0.5008, 0.8489, 0.5746)  2 Nb 1.92-2.01
O (0.4994, 0.1822, 0.9084)  2 Nb 2.00-2.01
O (0.4978, 0.5220, 0.2406)  2 Nb 1.89-2.03
O (0.4992, 0.1511, 0.4254)  2 Nb 1.92-2.01
O (0.5022, 0.4780, 0.7594)  2 Nb 1.89-2.03
O (0.5006, 0.8178, 0.0916)  2 Nb 2.00-2.01
O (0.9854, 0.9680, 0.7727)  2 Nb 1.99-2.01
O (0.0130, 0.2935, 0.0954)  2 Nb 1.98-2.02
O (0.0017, 0.6248, 0.4393)  2 Nb 2.09-2.15
O (0.9983, 0.3752, 0.5607)  2 Nb 2.09-2.15
O (0.9870, 0.7065, 0.9046)  2 Nb 1.98-2.02
O (0.0146, 0.0320, 0.2273)  2 Nb 1.99-2.01
O (0.2091, 0.9067, 0.4032)  2 Nb 1.93-1.94
O (0.2119, 0.2340, 0.7350)  2 Nb 1.89-2.00
O (0.2069, 0.5711, 0.0738)  2 Nb 1.88-2.03
O (0.7909, 0.0933, 0.5968)  2 Nb 1.93-1.94
O (0.7931, 0.4289, 0.9262)  2 Nb 1.88-2.03
O (0.7881, 0.7660, 0.2650)  2 Nb 1.89-2.00
O (0.2849, 0.2709, 0.2678)  2 Nb 1.96-2.10
O (0.3044, 0.5886, 0.5916)  2 Nb 2.03-2.14
O (0.3118, 0.9352, 0.9354)  2 Nb 2.16-2.20, 2 Nd 2.40-2.41
O (0.6956, 0.4114, 0.4084)  2 Nb 2.03-2.14
O (0.7151, 0.7291, 0.7322)  2 Nb 1.96-2.10
O (0.6882, 0.0648, 0.0646)  2 Nb 2.16-2.20, 2 Nd 2.40-2.41
O (0.9997, 0.1397, 0.9296)  2 Nb 2.07-2.10
O (0.0163, 0.4959, 0.2618)  2 Nb 1.93-2.04
O (0.9841, 0.8140, 0.5848)  2 Nb 1.99-2.00
O (0.5060, 0.6814, 0.9140)  2 Nb 1.97-1.98
O (0.4921, 0.0129, 0.2403)  2 Nb 1.95-2.01
O (0.5020, 0.3473, 0.5745)  2 Nb 2.02-2.10
O (0.9837, 0.5041, 0.7382)  2 Nb 1.93-2.04
O (0.0003, 0.8603, 0.0704)  2 Nb 2.07-2.10
O (0.0159, 0.1860, 0.4152)  2 Nb 1.99-2.00
O (0.4940, 0.3186, 0.0860)  2 Nb 1.97-1.98
O (0.4980, 0.6527, 0.4255)  2 Nb 2.02-2.10
O (0.5079, 0.9871, 0.7597)  2 Nb 1.95-2.01

SG = No. 2
energy above the lowest structure with this stoichiometry = 27 meV per atom
energy of formation from the pure elements = -3221 meV/atom

---

Record 9
The following is a DFT calculation (GGA-PBE) of a relaxed NdNb3O9 crystal.

Cell: 11.8087 5.6651 8.9054 Å, 72.01 63.96 45.64°
With the nearest neighbours (Å) after each atom.
Fractional positions:
Nd (0.3448, 0.9573, 0.0019)  8 O 2.46-2.68
Nd (0.6552, 0.0427, 0.9981)  8 O 2.46-2.68
Nb (0.2460, 0.4767, 0.2670)  4 O 1.90-2.10
Nb (0.0754, 0.5391, 0.7518)  5 O 1.89-2.06
Nb (0.5971, 0.4536, 0.2599)  4 O 1.85-1.99
Nb (0.4029, 0.5464, 0.7401)  4 O 1.85-1.99
Nb (0.9246, 0.4609, 0.2482)  5 O 1.89-2.06
Nb (0.7540, 0.5233, 0.7330)  4 O 1.90-2.10
O (0.0992, 0.9977, 0.2334)  1 Nb 1.89
O (0.0924, 0.4975, 0.2293)  2 Nb 1.90-2.06
O (0.4295, 0.0136, 0.2109)  1 Nb 1.93
O (0.3592, 0.5030, 0.0006)  2 Nb 2.12-2.17
O (0.1704, 0.4875, 0.5047)  2 Nb 1.90-1.99
O (0.2468, 0.9987, 0.7699)  1 Nb 1.85
O (0.4120, 0.5302, 0.2422)  2 Nb 1.98-2.10
O (0.2590, 0.4509, 0.7779)  2 Nb 1.96-1.99
O (0.5000, 0.5000, 0.5000)  2 Nb 1.93
O (0.7532, 0.0013, 0.2301)  1 Nb 1.85
O (0.6408, 0.4970, 0.9994)  2 Nb 2.12-2.17
O (0.5705, 0.9864, 0.7891)  1 Nb 1.93
O (0.7410, 0.5491, 0.2221)  2 Nb 1.96-1.99
O (0.5880, 0.4698, 0.7578)  2 Nb 1.98-2.10
O (0.0000, 0.5000, 0.0000)  2 Nb 1.99
O (0.8296, 0.5125, 0.4953)  2 Nb 1.90-1.99
O (0.9008, 0.0023, 0.7666)  1 Nb 1.89
O (0.9076, 0.5025, 0.7707)  2 Nb 1.90-2.06

SG = No. 2
energy above the lowest structure with this stoichiometry = 41 meV per atom
energy of formation from the pure elements = -3207 meV/atom

---

Record 10
The following is a DFT calculation (GGA-PBE) of a relaxed NdNb3O9 crystal.

Cell: 7.7195 5.4244 16.6662 Å, 87.99 90.00 90.00°
With the nearest neighbours (Å) after each atom.
Fractional positions:
Nd (0.7500, 0.5344, 0.0321)  8 O 2.45-2.57
Nd (0.2500, 0.4656, 0.9679)  8 O 2.45-2.57
Nd (0.2500, 0.4656, 0.4679)  8 O 2.45-2.57
Nd (0.7500, 0.5344, 0.5321)  8 O 2.45-2.57
Nb (0.0011, 0.9792, 0.4003)  5 O 1.87-2.07
Nb (0.9989, 0.0208, 0.5997)  5 O 1.87-2.07
Nb (0.5011, 0.0208, 0.0997)  5 O 1.87-2.07
Nb (0.4989, 0.9792, 0.9003)  5 O 1.87-2.07
Nb (0.5167, 0.9722, 0.4007)  4 O 1.86-2.03
Nb (0.4833, 0.0278, 0.5993)  4 O 1.86-2.03
Nb (0.0167, 0.0278, 0.0993)  4 O 1.86-2.03
Nb (0.9833, 0.9722, 0.9007)  4 O 1.86-2.03
Nb (0.9710, 0.5082, 0.2513)  3 O 1.82-2.03
Nb (0.0290, 0.4918, 0.7487)  3 O 1.82-2.03
Nb (0.4710, 0.4918, 0.2487)  3 O 1.82-2.03
Nb (0.5290, 0.5082, 0.7513)  3 O 1.82-2.03
O (0.7446, 0.5961, 0.2591)  1 Nb 1.82
O (0.2554, 0.4039, 0.7409)  1 Nb 1.82
O (0.2446, 0.4039, 0.2409)  1 Nb 1.82
O (0.7554, 0.5961, 0.7591)  1 Nb 1.82
O (0.4640, 0.7617, 0.5167)  2 Nb 2.03-2.25
O (0.5360, 0.2383, 0.4833)  2 Nb 2.03-2.25
O (0.9640, 0.2383, 0.9833)  2 Nb 2.03-2.25
O (0.0360, 0.7617, 0.0167)  2 Nb 2.03-2.25
O (0.7511, 0.8509, 0.4199)  2 Nb 1.95-2.07
O (0.2489, 0.1491, 0.5801)  2 Nb 1.95-2.07
O (0.2511, 0.1491, 0.0801)  2 Nb 1.95-2.07
O (0.7489, 0.8509, 0.9199)  2 Nb 1.95-2.07
O (0.4467, 0.8203, 0.1894)  2 Nb 1.87-2.02
O (0.5533, 0.1797, 0.8106)  2 Nb 1.87-2.02
O (0.9467, 0.1797, 0.3106)  2 Nb 1.87-2.02
O (0.0533, 0.8203, 0.6894)  2 Nb 1.87-2.02
O (0.4516, 0.8171, 0.6885)  2 Nb 1.86-2.03
O (0.5484, 0.1829, 0.3115)  2 Nb 1.86-2.03
O (0.9516, 0.1829, 0.8115)  2 Nb 1.86-2.03
O (0.0484, 0.8171, 0.1885)  2 Nb 1.86-2.03
O (0.4626, 0.7611, 0.0167)  2 Nb 2.03-2.25
O (0.5374, 0.2389, 0.9833)  2 Nb 2.03-2.25
O (0.9626, 0.2389, 0.4833)  2 Nb 2.03-2.25
O (0.0374, 0.7611, 0.5167)  2 Nb 2.03-2.25
O (0.9376, 0.3459, 0.1432)  2 Nb 1.99-2.05
O (0.0624, 0.6541, 0.8568)  2 Nb 1.99-2.05
O (0.4376, 0.6541, 0.3568)  2 Nb 1.99-2.05
O (0.5624, 0.3459, 0.6432)  2 Nb 1.99-2.05
O (0.7491, 0.9362, 0.0944)  2 Nb 1.97-2.13
O (0.2509, 0.0638, 0.9056)  2 Nb 1.97-2.13
O (0.2491, 0.0638, 0.4056)  2 Nb 1.97-2.13
O (0.7509, 0.9362, 0.5944)  2 Nb 1.97-2.13
O (0.5549, 0.3495, 0.1434)  2 Nb 1.99-2.05
O (0.4451, 0.6505, 0.8566)  2 Nb 1.99-2.05
O (0.0549, 0.6505, 0.3566)  2 Nb 1.99-2.05
O (0.9451, 0.3495, 0.6434)  2 Nb 1.99-2.05

SG = No. 14
energy above the lowest structure with this stoichiometry = 0 meV per atom
energy of formation from the pure elements = -3248 meV/atom

---

Record 11
The following is a DFT calculation (GGA-PBE) of a relaxed NdNbO2 crystal.

Cell: 7.4785 7.4785 7.4785 Å, 129.89 129.89 73.59°
With the nearest neighbours (Å) after each atom.
Fractional positions:
Nd (0.8750, 0.6250, 0.2500)  6 O 2.41-2.47
Nd (0.3750, 0.6250, 0.7500)  6 O 2.41-2.47
Nd (0.3750, 0.6250, 0.2500)  6 O 2.41-2.47
Nd (0.3750, 0.1250, 0.7500)  6 O 2.41-2.47
Nb (0.3750, 0.1250, 0.2500)  4 O 2.18
Nb (0.8750, 0.1250, 0.7500)  4 O 2.18
Nb (0.8750, 0.1250, 0.2500)  4 O 2.18
Nb (0.8750, 0.6250, 0.7500)  4 O 2.18
O (0.1744, 0.3910, 0.2166)  2 Nb 2.18, 1 Nd 2.41
O (0.1744, 0.9578, 0.7834)  2 Nb 2.18, 1 Nd 2.41
O (0.1410, 0.4244, 0.7166)  2 Nb 2.18, 1 Nd 2.41
O (0.5756, 0.8590, 0.2834)  2 Nb 2.18, 1 Nd 2.41
O (0.7078, 0.4244, 0.2834)  2 Nb 2.18, 1 Nd 2.41
O (0.5756, 0.2922, 0.7166)  2 Nb 2.18, 1 Nd 2.41
O (0.6090, 0.8256, 0.7834)  2 Nb 2.18, 1 Nd 2.41
O (0.0422, 0.8256, 0.2166)  2 Nb 2.18, 1 Nd 2.41

SG = No. 141
energy of formation from the pure elements = -2332 meV/atom

---

Record 12
The following is a DFT calculation (GGA-PBE) of a relaxed NdNb3O9 crystal.

Cell: 16.8199 12.5466 9.7768 Å, 59.12 55.00 26.54°
With the nearest neighbours (Å) after each atom.
Fractional positions:
Nd (0.0000, 0.0000, 0.0000)  12 O 2.55-2.80
Nd (0.3332, 0.0016, 0.9988)  12 O 2.59-2.82
Nd (0.6668, 0.9984, 0.0012)  12 O 2.59-2.82
Nd (0.5000, 0.5000, 0.0000)  12 O 2.57-2.73
Nb (0.0754, 0.0091, 0.2575)  6 O 1.94-2.06
Nb (0.4153, 0.0011, 0.2527)  6 O 1.98-2.02
Nb (0.2494, 0.0068, 0.7379)  6 O 1.91-2.11
Nb (0.2435, 0.5003, 0.2621)  6 O 1.91-2.11
Nb (0.0844, 0.4992, 0.7473)  6 O 1.98-2.02
Nb (0.7506, 0.9932, 0.2621)  6 O 1.91-2.11
Nb (0.5847, 0.9989, 0.7473)  6 O 1.98-2.02
Nb (0.5827, 0.5018, 0.2575)  6 O 1.94-2.06
Nb (0.4173, 0.4982, 0.7425)  6 O 1.94-2.06
Nb (0.9246, 0.9909, 0.7425)  6 O 1.94-2.06
Nb (0.9156, 0.5008, 0.2527)  6 O 1.98-2.02
Nb (0.7565, 0.4997, 0.7379)  6 O 1.91-2.11
O (0.0000, 0.0000, 0.5000)  2 Nb 1.94
O (0.1753, 0.9861, 0.0008)  2 Nb 2.06-2.11
O (0.0115, 0.2436, 0.2311)  2 Nb 1.94-2.01
O (0.0000, 0.5000, 0.0000)  2 Nb 2.02
O (0.1794, 0.2318, 0.2301)  2 Nb 1.99
O (0.5000, 0.0000, 0.0000)  2 Nb 2.02
O (0.3341, 0.9989, 0.4993)  2 Nb 1.91-1.98
O (0.3438, 0.2475, 0.2307)  2 Nb 1.96-2.00
O (0.1657, 0.2430, 0.7693)  2 Nb 1.96-2.00
O (0.9982, 0.7761, 0.2293)  2 Nb 1.98
O (0.1664, 0.5006, 0.5007)  2 Nb 1.91-1.98
O (0.3374, 0.5012, 0.9992)  2 Nb 2.06-2.11
O (0.5120, 0.2459, 0.2181)  2 Nb 2.04
O (0.3327, 0.2319, 0.7700)  2 Nb 1.99
O (0.1905, 0.7353, 0.2206)  2 Nb 2.03-2.06
O (0.8247, 0.0139, 0.9992)  2 Nb 2.06-2.11
O (0.6659, 0.0011, 0.5007)  2 Nb 1.91-1.98
O (0.6632, 0.2626, 0.2206)  2 Nb 2.03-2.06
O (0.4977, 0.2472, 0.7689)  2 Nb 1.94-2.01
O (0.3424, 0.7529, 0.2200)  2 Nb 2.03
O (0.1510, 0.7776, 0.7695)  2 Nb 1.98
O (0.5000, 0.5000, 0.5000)  2 Nb 1.94
O (0.6626, 0.4988, 0.0008)  2 Nb 2.06-2.11
O (0.8490, 0.2224, 0.2305)  2 Nb 1.98
O (0.6576, 0.2471, 0.7800)  2 Nb 2.03
O (0.5023, 0.7528, 0.2311)  2 Nb 1.94-2.01
O (0.3368, 0.7374, 0.7794)  2 Nb 2.03-2.06
O (0.8095, 0.2647, 0.7794)  2 Nb 2.03-2.06
O (0.6673, 0.7681, 0.2300)  2 Nb 1.99
O (0.4880, 0.7541, 0.7819)  2 Nb 2.04
O (0.8336, 0.4994, 0.4993)  2 Nb 1.91-1.98
O (0.0018, 0.2239, 0.7707)  2 Nb 1.98
O (0.6562, 0.7525, 0.7693)  2 Nb 1.96-2.00
O (0.8343, 0.7570, 0.2307)  2 Nb 1.96-2.00
O (0.8206, 0.7682, 0.7699)  2 Nb 1.99
O (0.9885, 0.7564, 0.7689)  2 Nb 1.94-2.01

SG = No. 12
energy above the lowest structure with this stoichiometry = 45 meV per atom
energy of formation from the pure elements = -3203 meV/atom

---

no.,electronic total energy (Ry/atom)
1,-0.0904
2,-0.0904
3,-0.7202
4,-0.7189
5,-0.7285
6,-0.7407
7,-0.7424
8,-0.6518
9,-0.6508
10,-0.6538
11,-0.6012
12,-0.6505